# 1
Here is a relaxed structure of ErSb3 from the Materials Project. Energies are from PBE.

## Properties
Magnetic moment = 0.00 μB/atom
E_form = -0.50 eV/atom
Calculated total energy = -36.79 eV for the cell shown

Cell lengths 6.5182, 6.5182, 5.8927 Å; angles 90.00, 90.00, 120.00 degrees
Closest atoms and distances in Å follow each position.
Sites, in units of the cell vectors:
Sb 0.1742 0.8258 0.2500  4 Sb 3.11-3.41, 4 Er 3.26-3.45
Sb 0.8258 0.1742 0.7500  4 Sb 3.11-3.41, 4 Er 3.26-3.45
Sb 0.1742 0.3483 0.2500  4 Sb 3.11-3.41, 4 Er 3.26-3.45
Sb 0.8258 0.6517 0.7500  4 Sb 3.11-3.41, 4 Er 3.26-3.45
Sb 0.3483 0.1742 0.7500  4 Sb 3.11-3.41, 4 Er 3.26-3.45
Sb 0.6517 0.8258 0.2500  4 Sb 3.11-3.41, 4 Er 3.26-3.45
Er 0.6667 0.3333 0.2500  12 Sb 3.26-3.45
Er 0.3333 0.6667 0.7500  12 Sb 3.26-3.45

=====

# 2
Here is a relaxed structure of Er4Sb3 from the Materials Project. Energies are from PBE.

## Properties
E_form = -1.02 eV/atom
Calculated total energy = -74.51 eV for the cell shown

Cell lengths 7.9061, 7.9061, 7.9061 Å; angles 109.47, 109.47, 109.47 degrees
Closest atoms and distances in Å follow each position.
Sites, in units of the cell vectors:
Er 0.6430 0.5000 0.0000  6 Sb 3.05-3.28
Er 0.1430 0.5000 0.0000  6 Sb 3.05-3.28
Er 0.5000 0.0000 0.1430  6 Sb 3.05-3.28
Er 0.3570 0.3570 0.3570  6 Sb 3.05-3.28
Er 0.5000 0.0000 0.6430  6 Sb 3.05-3.28
Er 0.0000 0.1430 0.5000  6 Sb 3.05-3.28
Er 0.8570 0.8570 0.8570  6 Sb 3.05-3.28
Er 0.0000 0.6430 0.5000  6 Sb 3.05-3.28
Sb 0.1250 0.8750 0.2500  8 Er 3.05-3.28
Sb 0.7500 0.3750 0.6250  8 Er 3.05-3.28
Sb 0.6250 0.7500 0.3750  8 Er 3.05-3.28
Sb 0.3750 0.6250 0.7500  8 Er 3.05-3.28
Sb 0.2500 0.1250 0.8750  8 Er 3.05-3.28
Sb 0.8750 0.2500 0.1250  8 Er 3.05-3.28

=====

# 3
Here is a relaxed structure of Er2Se3 from the Materials Project. Energies are from PBE.

## Properties
E_form = -2.16 eV/atom
Calculated total energy = -115.98 eV for the cell shown

Cell lengths 13.4534, 12.8413, 7.0412 Å; angles 79.33, 69.72, 30.95 degrees
Closest atoms and distances in Å follow each position.
Sites, in units of the cell vectors:
Se 0.2578 0.7422 0.7422  4 Er 2.85-2.87
Se 0.7422 0.2578 0.2578  4 Er 2.85-2.87
Se 0.1642 0.6738 0.3420  4 Er 2.83-2.87
Se 0.3420 0.8200 0.1642  4 Er 2.83-2.87
Se 0.0858 0.5762 0.9080  4 Er 2.83-2.87
Se 0.8200 0.3420 0.6738  4 Er 2.83-2.87
Se 0.5762 0.0858 0.4300  4 Er 2.83-2.87
Se 0.6738 0.1642 0.8200  4 Er 2.83-2.87
Se 0.9922 0.5078 0.5078  4 Er 2.85-2.87
Se 0.4300 0.9080 0.5762  4 Er 2.83-2.87
Se 0.5078 0.9922 0.9922  4 Er 2.85-2.87
Se 0.9080 0.4300 0.0858  4 Er 2.83-2.87
Er 0.4162 0.4162 0.5838  6 Se 2.83-2.87
Er 0.7527 0.7527 0.2473  6 Se 2.84-2.87
Er 0.0027 0.0027 0.4973  6 Se 2.84-2.87
Er 0.2473 0.2473 0.7527  6 Se 2.84-2.87
Er 0.5838 0.5838 0.4162  6 Se 2.83-2.87
Er 0.6662 0.6662 0.8338  6 Se 2.83-2.87
Er 0.8338 0.8338 0.6662  6 Se 2.83-2.87
Er 0.4973 0.4973 0.0027  6 Se 2.84-2.87

=====

# 4
Here is a relaxed structure of Er2Se3 from the Materials Project. Energies are from PBE.

## Properties
E_form = -2.10 eV/atom
Calculated total energy = -28.69 eV for the cell shown

Cell lengths 3.9470, 3.9470, 8.0574 Å; angles 90.00, 90.00, 90.00 degrees
Closest atoms and distances in Å follow each position.
Sites, in units of the cell vectors:
Er 0.5000 0.0000 0.7620  7 Se 2.89-3.00
Er 0.0000 0.5000 0.2380  7 Se 2.89-3.00
Se 0.0000 0.5000 0.8659  5 Er 2.91-3.00
Se 0.5000 0.5000 0.5000  4 Er 2.89
Se 0.5000 0.0000 0.1341  5 Er 2.91-3.00